Entry from the Materials Project database: a relaxed structure of YCo4Cu3O12 (PBE with a Hubbard U).

a b c (Å): 6.304 6.304 6.304
angles (deg): 109.47 109.47 109.47
Positions (direct):
Y: 0.000 0.000 0.000
Co: 0.000 0.000 0.500
Co: 0.000 0.500 0.000
Co: 0.500 0.000 0.000
Co: 0.500 0.500 0.500
Cu: 0.000 0.500 0.500
Cu: 0.500 0.000 0.500
Cu: 0.500 0.500 0.000
O: 0.306 0.135 0.830
O: 0.694 0.865 0.170
O: 0.694 0.524 0.830
O: 0.476 0.170 0.306
O: 0.170 0.306 0.476
O: 0.830 0.306 0.135
O: 0.865 0.170 0.694
O: 0.830 0.694 0.524
O: 0.306 0.476 0.170
O: 0.524 0.830 0.694
O: 0.170 0.694 0.865
O: 0.135 0.830 0.306

Computed properties:
As for the density: 6.1 g/cm3. The value obtained for the formation energy is -29.34 eV/f.u. The calculation puts the magnetic moment at 7.99 μB/cell. Its total energy is -0.4451 Ry/atom.

***

Entry from the Materials Project database: a relaxed structure of ZnCo4Cu3O12 (PBE with a Hubbard U).

a b c (Å): 6.249 6.249 6.249
angles (deg): 109.47 109.47 109.47
Positions (direct):
Zn: 0.000 0.000 0.000
Co: 0.000 0.500 0.000
Co: 0.500 0.000 0.000
Co: 0.500 0.500 0.500
Co: 0.000 0.000 0.500
Cu: 0.500 0.000 0.500
Cu: 0.500 0.500 0.000
Cu: 0.000 0.500 0.500
O: 0.305 0.132 0.827
O: 0.695 0.868 0.173
O: 0.695 0.522 0.827
O: 0.478 0.173 0.305
O: 0.173 0.305 0.478
O: 0.827 0.305 0.132
O: 0.868 0.173 0.695
O: 0.827 0.695 0.522
O: 0.305 0.478 0.173
O: 0.522 0.827 0.695
O: 0.173 0.695 0.868
O: 0.132 0.827 0.305

Computed properties:
As for the density: 6.0 g/cm3. The value obtained for the formation energy is -21.23 eV/f.u. The calculation puts the magnetic moment at 6.98 μB/cell. Its total energy is -0.3962 Ry/atom.

***

Entry from the Materials Project database: a relaxed structure of SrEuDyCoO6 (PBE with a Hubbard U).

a b c (Å): 5.698 5.698 5.698
angles (deg): 60.00 60.00 60.00
Positions (direct):
Sr: 0.250 0.250 0.250
Eu: 0.750 0.750 0.750
Dy: 0.500 0.500 0.500
Co: 0.000 0.000 0.000
O: 0.770 0.230 0.230
O: 0.230 0.770 0.770
O: 0.770 0.230 0.770
O: 0.230 0.770 0.230
O: 0.770 0.770 0.230
O: 0.230 0.230 0.770

Computed properties:
As for the density: 7.1 g/cm3. The value obtained for the formation energy is -26.28 eV/f.u. The calculation puts the magnetic moment at 5.00 μB/cell. Its total energy is -0.5429 Ry/atom.

***

Entry from the Materials Project database: a relaxed structure of SrPrDyCoO6 (PBE with a Hubbard U).

a b c (Å): 5.691 5.691 5.691
angles (deg): 60.00 60.00 60.00
Positions (direct):
Sr: 0.750 0.750 0.750
Pr: 0.250 0.250 0.250
Dy: 0.500 0.500 0.500
Co: 0.000 0.000 0.000
O: 0.769 0.231 0.231
O: 0.231 0.769 0.769
O: 0.769 0.231 0.769
O: 0.231 0.769 0.231
O: 0.769 0.769 0.231
O: 0.231 0.231 0.769

Computed properties:
As for the density: 7.0 g/cm3. The value obtained for the formation energy is -27.62 eV/f.u. The calculation puts the magnetic moment at 1.00 μB/cell. Its total energy is -0.5125 Ry/atom.